[1]
Entry from the Materials Project database: a relaxed structure of Y2Zr2SiS5O24 (PBE).

Cell lengths 9.1685, 9.1843, 23.6014 Å; angles 90.13, 90.07, 119.96 degrees
Fractional coordinates of all 102 atoms:
1 O 0.9790 0.1871 0.3001
2 O 0.1775 0.9693 0.1994
3 O 0.8173 0.0237 0.8003
4 S 0.9634 0.6306 0.0835
5 O 0.4551 0.1363 0.2415
6 S 0.0484 0.6626 0.4172
7 S 0.2857 0.9941 0.2504
8 S 0.7145 0.9995 0.7490
9 S 0.3340 0.9515 0.9175
10 O 0.8010 0.9776 0.6985
11 O 0.3609 0.4912 0.3660
12 Si 0.3738 0.3335 0.0834
13 O 0.0333 0.2151 0.9117
14 O 0.1529 0.6847 0.4678
15 O 0.8188 0.7948 0.5928
16 O 0.8922 0.5235 0.1336
17 O 0.1455 0.4934 0.5674
18 O 0.6928 0.1456 0.7418
19 O 0.7877 0.8189 0.1994
20 O 0.8802 0.3624 0.9263
21 O 0.4928 0.3736 0.4266
22 O 0.5373 0.6934 0.2590
23 O 0.1936 0.2197 0.4094
24 O 0.9799 0.1685 0.5948
25 Zr 0.3330 0.6597 0.0230
26 S 0.7100 0.7135 0.2503
27 O 0.9784 0.7957 0.8006
28 O 0.0211 0.8216 0.6985
29 S 0.3744 0.0424 0.5825
30 O 0.8584 0.5563 0.0330
31 O 0.1257 0.6335 0.3657
32 O 0.4845 0.1181 0.9238
33 S 0.0046 0.2921 0.2501
34 O 0.8495 0.5490 0.7429
35 S 0.6678 0.6243 0.5826
36 O 0.4522 0.3038 0.7404
37 O 0.4768 0.1149 0.6335
38 Y 0.6772 0.3366 0.6861
39 O 0.8584 0.3124 0.2400
40 S 0.3405 0.3867 0.4175
41 O 0.1765 0.1974 0.6981
42 O 0.2032 0.0212 0.5922
43 O 0.0320 0.8114 0.4095
44 O 0.1830 0.9690 0.9113
45 O 0.8139 0.0114 0.0948
46 S 0.6672 0.0367 0.0834
47 O 0.3114 0.4663 0.4679
48 S 0.9994 0.7158 0.7488
49 O 0.0285 0.2062 0.1990
50 O 0.3123 0.8460 0.9679
51 Zr 0.3384 0.6680 0.5227
52 O 0.1506 0.6984 0.7553
53 O 0.5159 0.8334 0.4717
54 O 0.3454 0.4952 0.0697
55 O 0.2064 0.1832 0.8000
56 Si 0.6160 0.9521 0.4185
57 O 0.3549 0.8711 0.8660
58 O 0.2976 0.8373 0.2578
59 Y 0.6556 0.3302 0.9808
60 Y 0.6592 0.3358 0.1861
61 O 0.4949 0.8570 0.3616
62 O 0.4872 0.3686 0.1389
63 O 0.7984 0.9751 0.4095
64 Zr 0.0077 0.0087 0.1447
65 O 0.1263 0.4831 0.8665
66 O 0.4524 0.1520 0.5325
67 S 0.0465 0.3814 0.9177
68 O 0.6349 0.5216 0.6335
69 Zr 0.6770 0.3230 0.4774
70 O 0.8133 0.7925 0.3007
71 Y 0.3319 0.6661 0.8090
72 O 0.5209 0.6489 0.5732
73 O 0.1834 0.1706 0.0975
74 O 0.8783 0.3669 0.6378
75 Si 0.9612 0.3377 0.5827
76 O 0.6362 0.1110 0.1338
77 O 0.1556 0.4685 0.9681
78 O 0.7855 0.8202 0.9117
79 O 0.1353 0.6560 0.0724
80 O 0.6276 0.1358 0.4271
81 O 0.6409 0.5209 0.9248
82 O 0.3510 0.8726 0.5722
83 S 0.6193 0.6673 0.9173
84 O 0.5482 0.8466 0.7548
85 O 0.2993 0.4510 0.7548
86 O 0.5162 0.6429 0.8663
87 O 0.2088 0.0204 0.3007
88 O 0.9825 0.7996 0.0950
89 Y 0.9943 0.0013 0.3595
90 O 0.5330 0.6891 0.9679
91 Zr 0.9993 0.0075 0.6417
92 O 0.5175 0.8676 0.0722
93 O 0.6949 0.5459 0.5323
94 Y 0.0013 0.0005 0.8572
95 O 0.8773 0.5132 0.4254
96 O 0.1579 0.4595 0.2584
97 O 0.4508 0.2970 0.0279
98 O 0.7030 0.1432 0.0332
99 O 0.6895 0.5459 0.2428
100 S 0.2859 0.2846 0.7486
101 Zr 0.3422 0.6764 0.3134
102 O 0.8348 0.3044 0.5277

- Spin magnetization: 0.000 μB per atom
- ΔE_f: -2703 meV per atom
- V: 574 Å³/f.u.


[2]
Entry from the Materials Project database: a relaxed structure of Na3MgSbS4 (PBE).

Cell lengths 10.1679, 5.7183, 7.5491 Å; angles 94.81, 130.40, 117.47 degrees
Fractional coordinates of all 9 atoms:
1 S 0.0436 0.0000 0.6627
2 S 0.4464 0.4191 0.4005
3 S 0.5254 0.0000 0.9880
4 Na 0.4967 0.0000 0.6090
5 Mg 0.3471 0.0000 0.0815
6 Na 0.9944 0.4269 0.5031
7 Sb 0.0046 0.0000 0.9528
8 Na 0.5675 0.5731 0.0762
9 S 0.0273 0.5809 0.9814

- Spin magnetization: 0.000 μB per atom
- ΔE_f: -1078 meV per atom
- V: 244 Å³/f.u.
- ΔE to the lowest computed polymorph: 0.000 eV per atom


[3]
Entry from the Materials Project database: a relaxed structure of MgIn2Te4 (PBE).

Cell lengths 7.7816, 7.7816, 7.7816 Å; angles 131.93, 131.93, 70.35 degrees
Fractional coordinates of all 7 atoms:
1 Te 0.1616 0.1616 0.5468
2 Te 0.8384 0.3852 0.0000
3 Mg 0.0000 0.0000 0.0000
4 Te 0.3852 0.8384 0.0000
5 In 0.7500 0.2500 0.5000
6 Te 0.6148 0.6148 0.4532
7 In 0.2500 0.7500 0.5000

- Piezoelectric modulus e_max: 0.2 C/m²
- ΔE_f: -721 meV per atom
- V: 256 Å³/f.u.


[4]
Entry from the Materials Project database: a relaxed structure of Nb2N (PBE).

Cell lengths 3.1574, 3.1574, 4.8567 Å; angles 90.00, 90.00, 120.00 degrees
Fractional coordinates of all 3 atoms:
1 Nb 0.6667 0.3333 0.2524
2 Nb 0.3333 0.6667 0.7476
3 N 0.0000 0.0000 0.5000

- Spin magnetization: 0.000 μB per atom
- ΔE_f: -879 meV per atom
- V: 42 Å³/f.u.


[5]
Entry from the Materials Project database: a relaxed structure of BaMn2Bi2 (PBE).

Cell lengths 4.4926, 4.4925, 7.9402 Å; angles 73.58, 73.58, 89.99 degrees
Fractional coordinates of all 5 atoms:
1 Bi 0.6332 0.6332 0.7336
2 Mn 0.7500 0.2500 0.5000
3 Mn 0.2500 0.7500 0.5000
4 Bi 0.3668 0.3668 0.2664
5 Ba 0.0000 0.0000 0.0000

- Spin magnetization: 0.000 μB per atom
- ΔE_f: -200 meV per atom
- V: 147 Å³/f.u.


[6]
Entry from the Materials Project database: a relaxed structure of ZrCrCuS4 (PBE).

Cell lengths 6.4707, 7.4314, 12.5598 Å; angles 81.14, 84.66, 89.86 degrees
Fractional coordinates of all 28 atoms:
1 Cu 0.2582 0.3741 0.9973
2 Zr 0.8624 0.2986 0.3021
3 S 0.2097 0.2859 0.3704
4 Cr 0.3649 0.0422 0.3009
5 Zr 0.7572 0.1212 0.9986
6 S 0.8943 0.8455 0.1129
7 S 0.3982 0.1022 0.1141
8 S 0.6018 0.8978 0.8859
9 Cu 0.7418 0.6259 0.0027
10 S 0.1914 0.7801 0.3634
11 Zr 0.2428 0.8788 0.0014
12 S 0.6786 0.0174 0.3732
13 S 0.8086 0.2199 0.6366
14 S 0.7903 0.7141 0.6296
15 Cu 0.8755 0.8004 0.3009
16 S 0.1057 0.1545 0.8871
17 Cr 0.3669 0.5599 0.2954
18 S 0.3214 0.9826 0.6268
19 Cr 0.6351 0.9578 0.6991
20 S 0.4016 0.5912 0.1148
21 S 0.9017 0.3589 0.1053
22 Cu 0.1245 0.1996 0.6991
23 S 0.6751 0.5482 0.3689
24 S 0.5984 0.4088 0.8852
25 Cr 0.6331 0.4401 0.7046
26 Zr 0.1376 0.7014 0.6979
27 S 0.3249 0.4518 0.6311
28 S 0.0983 0.6411 0.8947

- Spin magnetization: 0.429 μB per atom
- ΔE_f: -1016 meV per atom
- V: 149 Å³/f.u.
- ΔE to the lowest computed polymorph: 0.241 eV per atom


[7]
Entry from the Materials Project database: a relaxed structure of DyWC2 (PBE).

Cell lengths 3.3811, 5.7300, 10.8126 Å; angles 90.00, 90.00, 90.00 degrees
Fractional coordinates of all 16 atoms:
1 C 0.2500 0.7230 0.0152
2 W 0.2500 0.9035 0.6106
3 C 0.7500 0.2770 0.9848
4 W 0.7500 0.5965 0.1106
5 C 0.7500 0.7770 0.5152
6 W 0.2500 0.4035 0.8894
7 Dy 0.7500 0.9146 0.8634
8 C 0.7500 0.8391 0.2472
9 Dy 0.2500 0.0854 0.1366
10 C 0.7500 0.3391 0.2528
11 C 0.2500 0.1609 0.7528
12 W 0.7500 0.0965 0.3894
13 C 0.2500 0.2230 0.4848
14 Dy 0.7500 0.4146 0.6366
15 C 0.2500 0.6609 0.7472
16 Dy 0.2500 0.5854 0.3634

- ΔE_f: -283 meV per atom
- V: 52 Å³/f.u.


[8]
Entry from the Materials Project database: a relaxed structure of CaUSe2O8 (PBE).

Cell lengths 5.6743, 6.7524, 11.2293 Å; angles 103.97, 93.63, 110.73 degrees
Fractional coordinates of all 24 atoms:
1 U 0.1675 0.2613 0.1678
2 U 0.8325 0.7387 0.8322
3 Se 0.7353 0.7030 0.3527
4 O 0.1054 0.8715 0.0296
5 O 0.8891 0.4192 0.8394
6 Se 0.6884 0.1889 0.8751
7 O 0.8946 0.1285 0.9704
8 O 0.5599 0.5208 0.6511
9 O 0.6708 0.9771 0.7472
10 O 0.0761 0.3793 0.5633
11 Ca 0.6737 0.2446 0.4355
12 O 0.1065 0.8223 0.7499
13 O 0.6738 0.9020 0.4564
14 Se 0.3116 0.8111 0.1249
15 O 0.1109 0.5808 0.1606
16 O 0.8935 0.1777 0.2501
17 O 0.4401 0.4792 0.3489
18 O 0.4458 0.3495 0.0932
19 Se 0.2647 0.2970 0.6473
20 O 0.5542 0.6505 0.9068
21 O 0.3292 0.0229 0.2528
22 O 0.9239 0.6207 0.4367
23 O 0.3262 0.0980 0.5436
24 Ca 0.3263 0.7554 0.5645

- Spin magnetization: 0.000 μB per atom
- ΔE_f: -2494 meV per atom
- V: 193 Å³/f.u.
- ΔE to the lowest computed polymorph: 0.000 eV per atom


[9]
Entry from the Materials Project database: a relaxed structure of Cu3As (PBE).

Cell lengths 4.2264, 4.2264, 4.2264 Å; angles 60.00, 60.00, 60.00 degrees
Fractional coordinates of all 4 atoms:
1 Cu 0.7500 0.7500 0.7500
2 Cu 0.2500 0.2500 0.2500
3 Cu 0.5000 0.5000 0.5000
4 As 0.0000 0.0000 0.0000

- Spin magnetization: 0.000 μB per atom
- ΔE_f: 139 meV per atom
- V: 53 Å³/f.u.


[10]
Entry from the Materials Project database: a relaxed structure of KAg2AsO4 (PBE).

Cell lengths 5.5710, 5.5710, 5.5710 Å; angles 114.75, 114.75, 99.37 degrees
Fractional coordinates of all 8 atoms:
1 Ag 0.7500 0.2500 0.5000
2 As 0.0000 0.0000 0.0000
3 O 0.0304 0.6944 0.0000
4 Ag 0.2500 0.7500 0.5000
5 O 0.9696 0.9696 0.6640
6 O 0.6944 0.0304 0.0000
7 O 0.3056 0.3056 0.3360
8 K 0.5000 0.5000 0.0000

- Spin magnetization: 0.000 μB per atom
- Piezoelectric modulus e_max: 0.3 C/m²
- ΔE_f: -1353 meV per atom
- V: 130 Å³/f.u.


[11]
Entry from the Materials Project database: a relaxed structure of Hf9Re4S (PBE).

Cell lengths 8.5593, 8.5604, 8.5604 Å; angles 120.01, 90.00, 90.00 degrees
Fractional coordinates of all 28 atoms:
1 Hf 0.2500 0.5428 0.4572
2 Hf 0.0522 0.6084 0.8042
3 Hf 0.9478 0.3916 0.1958
4 S 0.2500 0.3333 0.6667
5 Hf 0.0522 0.1958 0.3916
6 Re 0.2500 0.8901 0.1099
7 Re 0.7500 0.1099 0.8901
8 Hf 0.7500 0.4573 0.9145
9 Hf 0.5522 0.8042 0.6084
10 Hf 0.4478 0.6084 0.8042
11 Hf 0.2500 0.9145 0.4573
12 Hf 0.7500 0.0855 0.5427
13 Hf 0.9478 0.8042 0.6084
14 Hf 0.2500 0.5427 0.0855
15 Re 0.2500 0.8902 0.7803
16 Re 0.2500 0.2197 0.1098
17 Hf 0.7500 0.4572 0.5428
18 Hf 0.4478 0.1958 0.8042
19 S 0.7500 0.6667 0.3333
20 Hf 0.0522 0.1958 0.8042
21 Hf 0.9478 0.8042 0.1958
22 Hf 0.4478 0.1958 0.3916
23 Re 0.7500 0.1098 0.2197
24 Re 0.7500 0.7803 0.8902
25 Hf 0.5522 0.8042 0.1958
26 Hf 0.5522 0.3916 0.1958
27 Re 0.0000 0.0000 0.0000
28 Re 0.5000 0.0000 0.0000

- Spin magnetization: 0.001 μB per atom
- ΔE_f: -471 meV per atom
- V: 272 Å³/f.u.
- ΔE to the lowest computed polymorph: 0.000 eV per atom


[12]
Entry from the Materials Project database: a relaxed structure of NaNbO3 (PBE).

Cell lengths 7.9264, 7.9696, 23.7033 Å; angles 90.00, 90.00, 90.00 degrees
Fractional coordinates of all 120 atoms:
1 Na 0.2500 0.5080 0.3363
2 O 0.5001 0.0003 0.2629
3 O 0.9689 0.0043 0.9285
4 Na 0.2500 0.0080 0.1637
5 O 0.5315 0.2171 0.8332
6 Nb 0.5021 0.2408 0.9177
7 Na 0.7500 0.5015 0.8334
8 Nb 0.0008 0.7410 0.2490
9 Na 0.2500 0.0052 0.6689
10 Nb 0.5008 0.2590 0.7510
11 Na 0.7500 0.4948 0.1689
12 O 0.2500 0.7470 0.2619
13 Na 0.7500 0.0015 0.6666
14 O 0.9700 0.7151 0.0001
15 Na 0.2500 0.5052 0.8311
16 Nb 0.5008 0.7590 0.7490
17 O 0.9685 0.7171 0.6668
18 O 0.7500 0.2530 0.7381
19 Nb 0.0021 0.7592 0.0823
20 O 0.4685 0.2829 0.3332
21 O 0.7500 0.2300 0.5942
22 Na 0.2500 0.4985 0.1666
23 O 0.4689 0.4957 0.4285
24 Na 0.7500 0.9957 0.4988
25 Nb 0.9992 0.2590 0.7510
26 O 0.2500 0.2815 0.5713
27 O 0.2500 0.7201 0.5921
28 Nb 0.9979 0.2408 0.9177
29 O 0.0311 0.4957 0.4285
30 O 0.4691 0.5038 0.9049
31 Na 0.2500 0.9985 0.3334
32 Nb 0.4976 0.7408 0.9156
33 O 0.5315 0.7171 0.6668
34 O 0.9691 0.4962 0.0951
35 O 0.0001 0.4997 0.7629
36 O 0.2500 0.2470 0.2381
37 O 0.0001 0.9997 0.7371
38 Nb 0.5024 0.7592 0.4156
39 O 0.2500 0.7815 0.9287
40 O 0.4999 0.4997 0.7629
41 Na 0.7500 0.4920 0.6637
42 Nb 0.9976 0.2592 0.0844
43 O 0.5311 0.0043 0.9285
44 O 0.7500 0.7530 0.7619
45 O 0.5300 0.7151 0.0001
46 O 0.0311 0.9957 0.0715
47 Nb 0.4979 0.7592 0.0823
48 Na 0.7500 0.4957 0.0012
49 O 0.5310 0.7103 0.3338
50 O 0.5310 0.2103 0.1662
51 Na 0.7500 0.9884 0.0016
52 O 0.0315 0.7829 0.1668
53 O 0.9690 0.7103 0.3338
54 O 0.2500 0.2201 0.9079
55 Na 0.2500 0.5033 0.6656
56 Na 0.7500 0.9948 0.3311
57 O 0.2500 0.2700 0.0942
58 O 0.7500 0.2799 0.4079
59 O 0.5309 0.4962 0.0951
60 Nb 0.0008 0.2410 0.2510
61 O 0.0310 0.2897 0.6662
62 O 0.7500 0.7904 0.5753
63 Nb 0.5024 0.2592 0.0844
64 O 0.0310 0.7897 0.8338
65 Nb 0.0024 0.7408 0.9156
66 O 0.0315 0.2829 0.3332
67 O 0.9691 0.9962 0.4049
68 O 0.2500 0.7096 0.0753
69 O 0.4700 0.7849 0.5001
70 O 0.7500 0.2572 0.2600
71 Nb 0.4992 0.7410 0.2490
72 O 0.0309 0.5038 0.9049
73 Na 0.7500 0.4884 0.4984
74 Na 0.2500 0.0116 0.9984
75 O 0.2500 0.2096 0.4247
76 O 0.9999 0.5003 0.2371
77 O 0.9689 0.5043 0.5715
78 O 0.7500 0.7799 0.0921
79 O 0.7500 0.7300 0.9058
80 O 0.5300 0.2151 0.4999
81 Na 0.2500 0.0033 0.8344
82 O 0.5309 0.9962 0.4049
83 O 0.4689 0.9957 0.0715
84 O 0.0309 0.0038 0.5951
85 O 0.9685 0.2171 0.8332
86 Nb 0.4976 0.2408 0.5844
87 O 0.7500 0.7572 0.2400
88 Nb 0.4992 0.2410 0.2510
89 O 0.2500 0.7700 0.4058
90 O 0.2500 0.2428 0.7600
91 Na 0.2500 0.5043 0.9988
92 O 0.7500 0.7185 0.4287
93 Nb 0.9992 0.7590 0.7490
94 Na 0.2500 0.5116 0.5016
95 Na 0.7500 0.9967 0.1656
96 O 0.4999 0.9997 0.7371
97 O 0.4700 0.2849 0.9999
98 Nb 0.4979 0.2592 0.4177
99 O 0.4690 0.7897 0.8338
100 O 0.2500 0.7428 0.7400
101 O 0.9700 0.2151 0.4999
102 Nb 0.0024 0.2408 0.5844
103 O 0.5001 0.5003 0.2371
104 O 0.0300 0.2849 0.9999
105 Nb 0.5021 0.7408 0.5823
106 O 0.7500 0.2185 0.0713
107 O 0.4691 0.0038 0.5951
108 Na 0.7500 0.9920 0.8363
109 O 0.0300 0.7849 0.5001
110 Na 0.7500 0.4967 0.3344
111 O 0.4685 0.7829 0.1668
112 O 0.4690 0.2897 0.6662
113 Nb 0.9979 0.7408 0.5823
114 Nb 0.0021 0.2592 0.4177
115 Nb 0.9976 0.7592 0.4156
116 Na 0.2500 0.0043 0.5012
117 O 0.9999 0.0003 0.2629
118 O 0.7500 0.2904 0.9247
119 O 0.9690 0.2103 0.1662
120 O 0.5311 0.5043 0.5715

- Spin magnetization: 0.000 μB per atom
- ΔE_f: -2824 meV per atom
- V: 62 Å³/f.u.


- The highest ΔE_f belongs to which entry?
  Cu3As


- The lowest ΔE_f belongs to which entry?
  NaNbO3


- Among the records above, which one has the highest V?
  Y2Zr2SiS5O24


- Which value of ΔE_f does entry 5 give?
  -200 meV per atom